Below is a relaxed structure of RbMg6Sb, with properties calculated at the GGA-PBE level.

Cell lengths 7.0949, 7.0949, 5.1883 Å; angles 90.00, 90.00, 120.65 degrees
Fractional coordinates of all 8 atoms:
Mg 0.8310 0.1690 0.5000
Mg 0.1787 0.3360 0.0000
Rb 0.1721 0.8279 0.0000
Mg 0.7894 0.6500 0.5000
Mg 0.3500 0.2106 0.5000
Mg 0.6559 0.3441 0.0000
Mg 0.6640 0.8213 0.0000
Sb 0.3589 0.6411 0.5000

As for the energy above the most stable polymorph in this dataset: 70 meV/atom. The value obtained for the volume is 28.1 Å³/atom. As for the space group: No. 38. As for the total magnetic moment: 0.000 μB/atom. The formation energy is 0.09 eV per atom.

***

Below is a relaxed structure of RbMg6Sb, with properties calculated at the GGA-PBE level.

Cell lengths 9.1826, 9.1826, 4.9374 Å; angles 90.00, 90.00, 140.63 degrees
Fractional coordinates of all 8 atoms:
Mg 0.1889 0.2906 0.0000
Mg 0.3139 0.1757 0.5000
Mg 0.8243 0.6861 0.5000
Mg 0.7094 0.8111 0.0000
Mg 0.1354 0.8646 0.0000
Rb 0.7903 0.2097 0.5000
Mg 0.6207 0.3793 0.0000
Sb 0.4172 0.5828 0.5000

As for the energy above the most stable polymorph in this dataset: 0 meV/atom. The value obtained for the volume is 33.0 Å³/atom. As for the space group: No. 38. The formation energy is 0.02 eV per atom.